Record 1
DFT (r2SCAN) results for a relaxed structure of NpAs2.

Spin magnetization = 1.00 μB per atom
ΔE_f = -2.81 eV per formula unit
Electronic total energy = -230.50 eV per cell
Density = 9.80 Mg/m³

```
data_NpAs2
_cell_length_a 3.992
_cell_length_b 3.992
_cell_length_c 8.230
_cell_angle_alpha 90.00
_cell_angle_beta 90.00
_cell_angle_gamma 90.00
_symmetry_space_group_name_H-M 'P 4/n m m'
_symmetry_Int_Tables_number 129
loop_
_symmetry_equiv_pos_as_xyz
'x,y,z'
'-x,-y,-z'
'-y+1/2,x,z'
'y+1/2,-x,-z'
'-x+1/2,-y+1/2,z'
'x+1/2,y+1/2,-z'
'y,-x+1/2,z'
'-y,x+1/2,-z'
'x+1/2,-y,-z'
'-x+1/2,y,z'
'-y,-x,-z'
'y,x,z'
'-x,y+1/2,-z'
'x,-y+1/2,z'
'y+1/2,x+1/2,-z'
'-y+1/2,-x+1/2,z'
loop_
_atom_site_label
_atom_site_fract_x
_atom_site_fract_y
_atom_site_fract_z
_atom_site_occupancy
Np1 0.250 0.250 0.216 1
As1 0.250 0.250 0.859 1
As2 0.250 0.750 0.500 1
```



Record 2
DFT (r2SCAN) results for a relaxed structure of LiHoSn.

Spin magnetization = 0.00 μB per atom
ΔE_f = -2.25 eV per formula unit
Electronic total energy = -498.15 eV per cell
Density = 7.09 Mg/m³

```
data_LiHoSn
_cell_length_a 9.2826
_cell_length_b 9.2826
_cell_length_c 7.3002
_cell_angle_alpha 90.00
_cell_angle_beta 90.00
_cell_angle_gamma 120.00
_symmetry_space_group_name_H-M 'P 63 m c'
_symmetry_Int_Tables_number 186
_symmetry_space_group_name_Hall 'P 6c -2c'
loop_
_atom_site_label
_atom_site_fract_x
_atom_site_fract_y
_atom_site_fract_z
_atom_site_occupancy
Li1 0.1672 0.3344 0.0000 1
Li2 0.3333 0.6667 0.3816 1
Ho1 0.0000 0.0000 0.2089 1
Ho2 0.0238 0.5119 0.7036 1
Sn1 0.1667 0.3335 0.4402 1
Sn2 0.3333 0.6667 0.9702 1
```